! Li4MnSb2WO12 | the Materials Project | PBE with a Hubbard U | relaxed; values from VASP
&SYSTEM
  ibrav = 0, nat = 40, ntyp = 5
/
ATOMIC_SPECIES
Li 6.94 Li.upf
Mn 54.94 Mn.upf
Sb 121.76 Sb.upf
W 183.84 W.upf
O 16.00 O.upf
CELL_PARAMETERS angstrom
5.4389 0.0000 0.0000
0.5826 9.0437 0.0000
0.5918 3.2421 8.4602
ATOMIC_POSITIONS crystal
Li 0.0000 0.0000 0.0000
Li 0.9999 0.5000 0.5000
Li 0.0121 0.2676 0.2685
Li 0.0124 0.7676 0.7685
Li 0.3492 0.7191 0.2177
Li 0.3495 0.2194 0.7177
Li 0.4723 0.0143 0.5155
Li 0.4723 0.5143 0.0155
Mn 0.4204 0.3647 0.3627
Mn 0.4205 0.8648 0.8629
Sb 0.4230 0.1140 0.1139
Sb 0.4230 0.6140 0.6139
Sb 0.9078 0.1180 0.6149
Sb 0.9077 0.6182 0.1147
W 0.9121 0.3666 0.8670
W 0.9121 0.8664 0.3670
O 0.0929 0.0500 0.2383
O 0.0928 0.5500 0.7383
O 0.1038 0.4888 0.2981
O 0.1035 0.9873 0.7984
O 0.2182 0.1824 0.4820
O 0.2182 0.2378 0.9241
O 0.2183 0.6824 0.9819
O 0.2182 0.7379 0.4242
O 0.3936 0.4268 0.5507
O 0.3935 0.9268 0.0507
O 0.3967 0.3030 0.1753
O 0.3968 0.8030 0.6752
O 0.5883 0.0494 0.7315
O 0.5883 0.5493 0.2315
O 0.5997 0.4823 0.8095
O 0.5996 0.9824 0.3095
O 0.7143 0.2332 0.4239
O 0.7143 0.7333 0.9238
O 0.7392 0.1728 0.9866
O 0.7392 0.6729 0.4866
O 0.9054 0.4230 0.0507
O 0.9052 0.9230 0.5507
O 0.9165 0.8070 0.1802
O 0.9168 0.3069 0.6802
! * symmetry: P1 (1)
! * calculated formation energy: -2.09 eV per atom
! * raw total energy: -6.24 eV per atom
! * ρ: 5603 kg/m³
! * piezoelectric modulus e_max: 0.6 C/m²
! * volume: 208.1 Å³/f.u.

---

! Li4MnSbW2O12 | the Materials Project | PBE with a Hubbard U | relaxed; values from VASP
&SYSTEM
  ibrav = 0, nat = 40, ntyp = 5
/
ATOMIC_SPECIES
Li 6.94 Li.upf
Mn 54.94 Mn.upf
Sb 121.76 Sb.upf
W 183.84 W.upf
O 16.00 O.upf
CELL_PARAMETERS angstrom
-0.8471 -0.7833 -5.0044
6.3519 -7.2828 0.1810
-8.2439 -3.1991 1.8245
ATOMIC_POSITIONS crystal
Li 0.9975 0.4325 0.1333
Li 0.9975 0.9325 0.6333
Li 0.5044 0.9286 0.1600
Li 0.5044 0.4287 0.6600
Li 0.9972 0.1366 0.3861
Li 0.9972 0.6367 0.8861
Li 0.5006 0.6894 0.3914
Li 0.5006 0.1893 0.8914
Mn 0.5013 0.5030 0.0029
Mn 0.5013 0.0030 0.5029
Sb 0.9972 0.0025 0.9990
Sb 0.9971 0.5025 0.4990
W 0.0038 0.2514 0.7492
W 0.4946 0.2525 0.2515
W 0.4946 0.7525 0.7515
W 0.0038 0.7514 0.2492
O 0.3016 0.6231 0.1840
O 0.3016 0.1231 0.6841
O 0.1228 0.8678 0.1179
O 0.1228 0.3678 0.6179
O 0.3189 0.1232 0.0559
O 0.3190 0.6232 0.5559
O 0.1976 0.8684 0.4290
O 0.1976 0.3684 0.9290
O 0.8009 0.1113 0.1907
O 0.8009 0.6113 0.6907
O 0.3725 0.1205 0.3535
O 0.3725 0.6205 0.8535
O 0.6346 0.3551 0.1265
O 0.6347 0.8551 0.6265
O 0.1831 0.3721 0.3076
O 0.1831 0.8721 0.8076
O 0.8173 0.6177 0.0706
O 0.8173 0.1177 0.5706
O 0.6841 0.3667 0.4397
O 0.6841 0.8667 0.9397
O 0.8740 0.6187 0.3676
O 0.8740 0.1187 0.8676
O 0.6960 0.8658 0.3189
O 0.6960 0.3658 0.8189
! * calculated formation energy: -2.19 eV per atom
! * raw total energy: -6.57 eV per atom
! * ρ: 5997 kg/m³
! * volume: 211.6 Å³/f.u.

---

! Li5Mn5Se8O24 | the Materials Project | PBE with a Hubbard U | relaxed; values from VASP
&SYSTEM
  ibrav = 0, nat = 42, ntyp = 4
/
ATOMIC_SPECIES
Li 6.94 Li.upf
Mn 54.94 Mn.upf
Se 78.96 Se.upf
O 16.00 O.upf
CELL_PARAMETERS angstrom
7.6672 0.0000 0.0000
3.6982 7.6774 0.0000
0.2928 3.1589 10.1606
ATOMIC_POSITIONS crystal
Li 0.0000 0.0000 0.0000
Li 0.1000 0.0009 0.5044
Li 0.3988 0.9113 0.3384
Li 0.5006 0.9113 0.8521
Li 0.8101 0.0754 0.2555
Mn 0.6911 0.1706 0.7034
Mn 0.6938 0.8324 0.5885
Mn 0.7527 0.4531 0.9260
Mn 0.7540 0.4525 0.4216
Mn 0.8114 0.7414 0.1459
Se 0.0167 0.6973 0.8570
Se 0.0421 0.6670 0.4440
Se 0.0683 0.2748 0.1880
Se 0.0773 0.1948 0.7197
Se 0.4280 0.7120 0.1275
Se 0.4342 0.6310 0.6606
Se 0.4655 0.2419 0.3979
Se 0.4919 0.2072 0.9923
O 0.0167 0.7452 0.0024
O 0.1081 0.0847 0.3140
O 0.2395 0.9727 0.7731
O 0.2665 0.9339 0.0733
O 0.4018 0.8222 0.5350
O 0.4863 0.1637 0.8443
O 0.5229 0.4081 0.9443
O 0.5277 0.0664 0.3316
O 0.5367 0.1172 0.5656
O 0.5511 0.4611 0.5872
O 0.5600 0.7140 0.2611
O 0.6103 0.7008 0.0186
O 0.6301 0.6305 0.7482
O 0.6549 0.2941 0.3509
O 0.7155 0.0413 0.0719
O 0.7901 0.8644 0.7737
O 0.8499 0.6138 0.4963
O 0.8747 0.2767 0.0991
O 0.8952 0.2064 0.8286
O 0.9437 0.1942 0.5864
O 0.9515 0.4480 0.2607
O 0.9676 0.7932 0.2824
O 0.9792 0.8334 0.5225
O 0.9828 0.4997 0.9008
! * symmetry: P1 (1)
! * calculated formation energy: -1.74 eV per atom
! * raw total energy: -5.96 eV per atom
! * ρ: 3679 kg/m³
! * volume: 598.1 Å³/f.u.

---

! Li2Mn3Se4O12 | the Materials Project | PBE with a Hubbard U | relaxed; values from VASP
&SYSTEM
  ibrav = 0, nat = 42, ntyp = 4
/
ATOMIC_SPECIES
Li 6.94 Li.upf
Mn 54.94 Mn.upf
Se 78.96 Se.upf
O 16.00 O.upf
CELL_PARAMETERS angstrom
7.7000 0.0000 0.0000
3.7508 7.6807 0.0000
0.3548 3.1101 10.3411
ATOMIC_POSITIONS crystal
Li 0.1484 0.4549 0.4157
Li 0.2512 0.4562 0.9296
Li 0.7488 0.5438 0.0704
Li 0.8516 0.5451 0.5843
Mn 0.4389 0.7160 0.7832
Mn 0.4454 0.3741 0.6733
Mn 0.5000 0.0000 0.0000
Mn 0.5000 0.0000 0.5000
Mn 0.5546 0.6259 0.3267
Mn 0.5611 0.2840 0.2168
Se 0.1767 0.2588 0.2045
Se 0.1804 0.1821 0.7299
Se 0.2122 0.7878 0.4791
Se 0.2269 0.7542 0.0672
Se 0.7731 0.2458 0.9328
Se 0.7878 0.2122 0.5209
Se 0.8196 0.8179 0.2701
Se 0.8233 0.7412 0.7955
O 0.0098 0.4784 0.1534
O 0.1429 0.3711 0.6040
O 0.2406 0.7006 0.9232
O 0.2513 0.9507 0.0251
O 0.2783 0.6158 0.4071
O 0.2858 0.6638 0.6406
O 0.2992 0.0065 0.6595
O 0.3081 0.2604 0.3364
O 0.3570 0.2504 0.0963
O 0.3684 0.1858 0.8133
O 0.4024 0.8394 0.4275
O 0.4582 0.5903 0.1518
O 0.5418 0.4097 0.8482
O 0.5976 0.1606 0.5725
O 0.6316 0.8142 0.1867
O 0.6430 0.7496 0.9037
O 0.6919 0.7396 0.6636
O 0.7008 0.9935 0.3405
O 0.7142 0.3362 0.3594
O 0.7217 0.3842 0.5929
O 0.7487 0.0493 0.9749
O 0.7594 0.2994 0.0768
O 0.8571 0.6289 0.3960
O 0.9902 0.5216 0.8466
! * symmetry: P-1 (2)
! * calculated formation energy: -1.74 eV per atom
! * raw total energy: -6.09 eV per atom
! * ρ: 3728 kg/m³
! * volume: 305.8 Å³/f.u.